# 1
This record from the Materials Project database describes AlBrO after structural relaxation. The functional is PBE.

Computed properties:
ΔH_f (0 K): -232.06 kJ/mol of atoms
energy: -5.620 eV/atom

Lattice parameters (Å, degrees): 5.037 5.657 9.174 90.00 90.00 90.00
Element x y z (fractional)
O: 0.147 0.872 0.968
O: 0.647 0.128 0.032
O: 0.147 0.372 0.032
O: 0.647 0.628 0.968
Br: 0.091 0.001 0.318
Br: 0.591 0.999 0.682
Br: 0.091 0.501 0.682
Br: 0.591 0.499 0.318
Al: 0.491 0.907 0.914
Al: 0.991 0.093 0.086
Al: 0.491 0.407 0.086
Al: 0.991 0.593 0.914


# 2
This record from the Materials Project database describes Pr32In3Rh19 after structural relaxation. The functional is PBE.

Computed properties:
ΔH_f (0 K): -55.33 kJ/mol of atoms
energy: -6.151 eV/atom

Lattice parameters (Å, degrees): 11.925 11.925 10.103 90.00 90.00 90.75
Element x y z (fractional)
Pr: 0.420 0.791 0.307
Pr: 0.993 0.993 0.201
Pr: 0.644 0.644 0.500
Pr: 0.787 0.576 0.000
Pr: 0.715 0.071 0.000
Pr: 0.707 0.918 0.304
Pr: 0.207 0.582 0.694
Pr: 0.080 0.293 0.303
Pr: 0.856 0.142 0.500
Pr: 0.357 0.357 0.500
Pr: 0.441 0.216 0.000
Pr: 0.207 0.582 0.306
Pr: 0.918 0.707 0.304
Pr: 0.499 0.499 0.193
Pr: 0.142 0.856 0.500
Pr: 0.071 0.715 0.000
Pr: 0.582 0.207 0.306
Pr: 0.582 0.207 0.694
Pr: 0.302 0.913 0.000
Pr: 0.293 0.080 0.303
Pr: 0.791 0.420 0.693
Pr: 0.707 0.918 0.696
Pr: 0.913 0.302 0.000
Pr: 0.080 0.293 0.697
Pr: 0.576 0.787 0.000
Pr: 0.293 0.080 0.697
Pr: 0.216 0.441 0.000
Pr: 0.791 0.420 0.307
Pr: 0.499 0.499 0.807
Pr: 0.918 0.707 0.696
Pr: 0.993 0.993 0.799
Pr: 0.420 0.791 0.693
Rh: 0.322 0.322 0.219
Rh: 0.177 0.823 0.224
Rh: 0.897 0.897 0.500
Rh: 0.823 0.177 0.224
Rh: 0.344 0.656 0.000
Rh: 0.398 0.602 0.500
Rh: 0.656 0.344 0.000
Rh: 0.501 0.999 0.158
Rh: 0.676 0.676 0.777
Rh: 0.844 0.844 0.000
Rh: 0.676 0.676 0.223
Rh: 0.999 0.501 0.842
Rh: 0.322 0.322 0.781
Rh: 0.103 0.103 0.500
Rh: 0.177 0.823 0.776
Rh: 0.999 0.501 0.158
Rh: 0.823 0.177 0.776
Rh: 0.501 0.999 0.842
Rh: 0.602 0.398 0.500
In: 0.999 0.500 0.500
In: 0.500 0.999 0.500
In: 0.161 0.161 0.000


# 3
This record from the Materials Project database describes VSe2 after structural relaxation. The functional is PBE.

Computed properties:
ΔH_f (0 K): -97.09 kJ/mol of atoms
energy: -6.050 eV/atom

Lattice parameters (Å, degrees): 3.354 3.354 7.000 90.00 90.00 120.00
Element x y z (fractional)
V: 0.000 0.000 0.000
Se: 0.667 0.333 0.775
Se: 0.333 0.667 0.225


# 4
This record from the Materials Project database describes CsBaMg14 after structural relaxation. The functional is PBE.

Computed properties:
energy relative to the lowest polymorph listed for this composition: 15.1 meV/atom
ΔH_f (0 K): 18.27 kJ/mol of atoms
total magnetic moment: 0.0 μB per formula unit
energy: -1.387 eV/atom

Lattice parameters (Å, degrees): 7.058 7.058 10.532 90.00 90.00 120.00
Element x y z (fractional)
Mg: 0.178 0.839 0.625
Mg: 0.353 0.147 0.379
Mg: 0.663 0.327 0.125
Mg: 0.661 0.322 0.625
Mg: 0.833 0.667 0.874
Mg: 0.663 0.837 0.125
Mg: 0.353 0.147 0.871
Mg: 0.794 0.147 0.379
Mg: 0.353 0.706 0.871
Mg: 0.661 0.839 0.625
Mg: 0.794 0.147 0.871
Mg: 0.173 0.837 0.125
Mg: 0.833 0.667 0.376
Mg: 0.353 0.706 0.379
Cs: 0.167 0.333 0.125
Ba: 0.167 0.333 0.625


> Look up the energy of the first one.

-5.620 eV/atom


> Which of these has the highest energy?

CsBaMg14


> Look up the ΔH_f (0 K) of the second one.

-55.33 kJ/mol of atoms


> ΔH_f (0 K) of number 4 (CsBaMg14)?

18.27 kJ/mol of atoms